La2Ga5Cu3: relaxed, meta-GGA r2SCAN.

a b c (Å): 4.2848 4.2848 10.2301
angles (deg): 90.00 90.00 90.00
Fractional positions:
1 La 0.5000 0.0000 0.7440
2 La 0.0000 0.5000 0.2560
3 Ga 0.0000 0.5000 0.8660
4 Ga 0.5000 0.0000 0.3825
5 Ga 0.5000 0.0000 0.1340
6 Ga 0.0000 0.5000 0.6175
7 Ga 0.5000 0.5000 0.0000
8 Cu 0.0000 0.0000 0.5000
9 Cu 0.0000 0.0000 0.0000
10 Cu 0.5000 0.5000 0.5000

Calculated values
Energy relative to the elements ... -0.542 eV per atom